Sr2MgCuCl2O2: relaxed, PBE.

Output
VASP energy = -4.514 eV per atom
formation enthalpy at 0 K = -178.7 kJ per mole of atoms
E (MP2020) = -4.686 eV per atom
space-group type = I-4m2

a b c (Å): 3.933 3.933 12.324
angles (deg): 99.18 99.18 90.00
Atoms (fractional coordinates):
Sr: 0.570 0.570 0.139
Sr: 0.430 0.430 0.861
Mg: 0.750 0.250 0.500
Cu: 0.000 0.000 0.000
Cl: 0.129 0.129 0.258
Cl: 0.871 0.871 0.742
O: 0.500 0.000 0.000
O: 0.000 0.500 0.000


Sr2MgCu3Cl2O4: relaxed, PBE.

Output
VASP energy = -4.592 eV per atom
formation enthalpy at 0 K = -137.4 kJ per mole of atoms
E (MP2020) = -4.821 eV per atom
space-group type = C2/m

a b c (Å): 5.647 5.647 8.852
angles (deg): 108.64 108.65 90.26
Atoms (fractional coordinates):
Sr: 0.319 0.319 0.636
Sr: 0.681 0.681 0.364
Mg: 0.500 0.500 0.000
Cu: 0.000 0.000 0.000
Cu: 0.500 0.000 0.000
Cu: 0.000 0.500 0.000
Cl: 0.750 0.250 0.500
Cl: 0.250 0.750 0.500
O: 0.745 0.255 0.000
O: 0.255 0.745 0.000
O: 0.254 0.254 0.000
O: 0.746 0.746 0.000


MgCu3TeS3Cl: relaxed, PBE.

Output
energy above the lowest structure with this stoichiometry = 0.40 eV/f.u.
VASP energy = -3.774 eV per atom
formation enthalpy at 0 K = -51.3 kJ per mole of atoms
E (MP2020) = -4.010 eV per atom
space-group type = Cm

a b c (Å): 5.683 5.885 5.683
angles (deg): 79.68 82.21 79.68
Atoms (fractional coordinates):
Mg: 0.028 0.049 0.028
Cu: 0.649 0.658 0.188
Cu: 0.689 0.146 0.689
Cu: 0.188 0.658 0.649
Te: 0.314 0.396 0.314
S: 0.483 0.006 0.015
S: 0.016 0.509 0.016
S: 0.015 0.006 0.483
Cl: 0.626 0.568 0.626


MgCu3TeS3Cl: relaxed, PBE.

Output
energy above the lowest structure with this stoichiometry = 0.00 eV/f.u.
VASP energy = -3.818 eV per atom
formation enthalpy at 0 K = -55.6 kJ per mole of atoms
E (MP2020) = -4.054 eV per atom
space-group type = Cm

a b c (Å): 5.910 5.917 5.910
angles (deg): 90.00 90.20 90.00
Atoms (fractional coordinates):
Mg: 0.706 0.706 0.706
Cu: 0.844 0.842 0.197
Cu: 0.843 0.197 0.843
Cu: 0.197 0.842 0.844
Te: 0.162 0.161 0.162
S: 0.543 0.980 0.981
S: 0.982 0.543 0.982
S: 0.981 0.980 0.543
Cl: 0.488 0.484 0.488


MnCu2Cl4: relaxed, PBE.

Output
VASP energy = -4.196 eV per atom
formation enthalpy at 0 K = -97.5 kJ per mole of atoms
E (MP2020) = -4.546 eV per atom
piezoelectric modulus e_max = 1.16 C/m²
space-group type = Amm2

a b c (Å): 6.473 6.473 3.847
angles (deg): 90.00 90.00 108.58
Atoms (fractional coordinates):
Mn: 0.222 0.222 0.000
Cu: 0.838 0.496 0.500
Cu: 0.496 0.838 0.500
Cl: 0.018 0.494 0.000
Cl: 0.484 0.484 0.500
Cl: 0.018 0.018 0.500
Cl: 0.494 0.018 0.000


CuMo3Cl7: relaxed, PBE.

Output
VASP energy = -5.362 eV per atom
formation enthalpy at 0 K = -120.2 kJ per mole of atoms
E (MP2020) = -5.752 eV per atom
space-group type = Pn-3

a b c (Å): 13.094 13.094 13.094
angles (deg): 90.00 90.00 90.00
Atoms (fractional coordinates):
Cu: 0.188 0.188 0.188
Cu: 0.312 0.688 0.688
Cu: 0.688 0.312 0.688
Cu: 0.188 0.812 0.812
Cu: 0.312 0.312 0.312
Cu: 0.688 0.688 0.312
Cu: 0.812 0.812 0.188
Cu: 0.812 0.188 0.812
Mo: 0.614 0.775 0.718
Mo: 0.386 0.225 0.718
Mo: 0.718 0.614 0.775
Mo: 0.782 0.114 0.275
Mo: 0.886 0.275 0.218
Mo: 0.725 0.782 0.886
Mo: 0.225 0.718 0.386
Mo: 0.718 0.386 0.225
Mo: 0.725 0.218 0.114
Mo: 0.218 0.886 0.275
Mo: 0.775 0.282 0.386
Mo: 0.114 0.725 0.218
Mo: 0.275 0.218 0.886
Mo: 0.282 0.386 0.775
Mo: 0.218 0.114 0.725
Mo: 0.886 0.725 0.782
Mo: 0.275 0.782 0.114
Mo: 0.114 0.275 0.782
Mo: 0.782 0.886 0.725
Mo: 0.225 0.282 0.614
Mo: 0.282 0.614 0.225
Mo: 0.775 0.718 0.614
Mo: 0.386 0.775 0.282
Mo: 0.614 0.225 0.282
Cl: 0.432 0.676 0.126
Cl: 0.176 0.374 0.932
Cl: 0.885 0.115 0.115
Cl: 0.324 0.874 0.432
Cl: 0.874 0.432 0.324
Cl: 0.115 0.885 0.115
Cl: 0.067 0.309 0.171
Cl: 0.433 0.191 0.329
Cl: 0.932 0.824 0.626
Cl: 0.309 0.829 0.933
Cl: 0.309 0.171 0.067
Cl: 0.115 0.115 0.885
Cl: 0.676 0.874 0.568
Cl: 0.933 0.691 0.171
Cl: 0.615 0.615 0.615
Cl: 0.126 0.568 0.324
Cl: 0.067 0.691 0.829
Cl: 0.874 0.568 0.676
Cl: 0.568 0.324 0.126
Cl: 0.329 0.433 0.191
Cl: 0.824 0.374 0.068
Cl: 0.176 0.626 0.068
Cl: 0.374 0.932 0.176
Cl: 0.385 0.385 0.615
Cl: 0.126 0.432 0.676
Cl: 0.809 0.671 0.433
Cl: 0.433 0.809 0.671
Cl: 0.385 0.615 0.385
Cl: 0.567 0.191 0.671
Cl: 0.932 0.176 0.374
Cl: 0.432 0.324 0.874
Cl: 0.374 0.068 0.824
Cl: 0.626 0.932 0.824
Cl: 0.171 0.067 0.309
Cl: 0.567 0.809 0.329
Cl: 0.824 0.626 0.932
Cl: 0.933 0.309 0.829
Cl: 0.691 0.171 0.933
Cl: 0.068 0.824 0.374
Cl: 0.324 0.126 0.568
Cl: 0.676 0.126 0.432
Cl: 0.615 0.385 0.385
Cl: 0.885 0.885 0.885
Cl: 0.809 0.329 0.567
Cl: 0.171 0.933 0.691
Cl: 0.191 0.671 0.567
Cl: 0.671 0.433 0.809
Cl: 0.329 0.567 0.809
Cl: 0.671 0.567 0.191
Cl: 0.829 0.933 0.309
Cl: 0.191 0.329 0.433
Cl: 0.691 0.829 0.067
Cl: 0.068 0.176 0.626
Cl: 0.829 0.067 0.691
Cl: 0.626 0.068 0.176
Cl: 0.568 0.676 0.874


Rb2CuMoCl6: relaxed, PBE.

Output
VASP energy = -3.987 eV per atom
formation enthalpy at 0 K = -150.1 kJ per mole of atoms
E (MP2020) = -4.355 eV per atom
space-group type = Fm-3m

a b c (Å): 7.127 7.127 7.127
angles (deg): 60.00 60.00 60.00
Atoms (fractional coordinates):
Rb: 0.750 0.750 0.750
Rb: 0.250 0.250 0.250
Cu: 0.500 0.500 0.500
Mo: 0.000 0.000 0.000
Cl: 0.753 0.247 0.247
Cl: 0.247 0.247 0.753
Cl: 0.247 0.753 0.753
Cl: 0.247 0.753 0.247
Cl: 0.753 0.247 0.753
Cl: 0.753 0.753 0.247


Cu2N5Cl8: relaxed, PBE.

Output
VASP energy = -3.019 eV per atom
formation enthalpy at 0 K = 93.1 kJ per mole of atoms
E (MP2020) = -3.346 eV per atom
space-group type = I4/mcm

a b c (Å): 6.540 6.540 14.102
angles (deg): 103.41 103.41 90.00
Atoms (fractional coordinates):
Cu: 0.500 0.500 0.000
Cu: 0.000 0.000 0.000
Cu: 0.250 0.750 0.500
Cu: 0.750 0.250 0.500
N: 0.680 0.571 0.751
N: 0.071 0.180 0.751
N: 0.571 0.071 0.751
N: 0.180 0.680 0.751
N: 0.320 0.429 0.249
N: 0.929 0.820 0.249
N: 0.429 0.929 0.249
N: 0.820 0.320 0.249
N: 0.250 0.250 0.500
N: 0.750 0.750 0.500
Cl: 0.390 0.390 0.780
Cl: 0.890 0.890 0.780
Cl: 0.610 0.610 0.220
Cl: 0.110 0.110 0.220
Cl: 0.381 0.493 0.374
Cl: 0.993 0.881 0.374
Cl: 0.493 0.993 0.374
Cl: 0.881 0.381 0.374
Cl: 0.619 0.507 0.626
Cl: 0.007 0.119 0.626
Cl: 0.507 0.007 0.626
Cl: 0.119 0.619 0.626
Cl: 0.248 0.252 0.000
Cl: 0.752 0.748 0.000
Cl: 0.252 0.752 0.000
Cl: 0.748 0.248 0.000


Cu3N4Cl4O: relaxed, PBE.

Output
VASP energy = -3.266 eV per atom
formation enthalpy at 0 K = 145.5 kJ per mole of atoms
E (MP2020) = -3.324 eV per atom
space-group type = I4/mmm

a b c (Å): 7.152 7.152 7.152
angles (deg): 97.22 97.22 138.46
Atoms (fractional coordinates):
Cu: 0.250 0.750 0.500
Cu: 0.750 0.250 0.500
Cu: 0.000 0.000 0.000
N: 0.141 0.141 0.283
N: 0.859 0.859 0.717
N: 0.859 0.141 0.000
N: 0.141 0.859 0.000
Cl: 0.500 0.197 0.697
Cl: 0.500 0.803 0.303
Cl: 0.803 0.500 0.303
Cl: 0.197 0.500 0.697
O: 0.500 0.500 0.000


CuS4N4Cl2: relaxed, PBE.

Output
VASP energy = -4.982 eV per atom
formation enthalpy at 0 K = 14.6 kJ per mole of atoms
E (MP2020) = -5.094 eV per atom
space-group type = Pnma

a b c (Å): 6.732 6.828 19.399
angles (deg): 90.00 90.00 90.00
Atoms (fractional coordinates):
Cu: 0.500 0.500 0.500
Cu: 0.500 0.000 0.000
Cu: 0.000 0.500 0.500
Cu: 0.000 0.000 0.000
S: 0.049 0.383 0.871
S: 0.049 0.117 0.371
S: 0.549 0.617 0.129
S: 0.451 0.117 0.371
S: 0.250 0.445 0.330
S: 0.549 0.883 0.629
S: 0.250 0.368 0.748
S: 0.750 0.632 0.252
S: 0.750 0.945 0.170
S: 0.951 0.883 0.629
S: 0.951 0.617 0.129
S: 0.250 0.055 0.830
S: 0.750 0.868 0.752
S: 0.750 0.555 0.670
S: 0.250 0.132 0.248
S: 0.451 0.383 0.871
N: 0.057 0.052 0.290
N: 0.443 0.448 0.790
N: 0.557 0.552 0.210
N: 0.058 0.145 0.871
N: 0.558 0.645 0.629
N: 0.557 0.948 0.710
N: 0.057 0.448 0.790
N: 0.443 0.052 0.290
N: 0.942 0.645 0.629
N: 0.058 0.355 0.371
N: 0.942 0.855 0.129
N: 0.558 0.855 0.129
N: 0.943 0.552 0.210
N: 0.442 0.145 0.871
N: 0.943 0.948 0.710
N: 0.442 0.355 0.371
Cl: 0.250 0.725 0.482
Cl: 0.750 0.275 0.518
Cl: 0.750 0.796 0.961
Cl: 0.250 0.296 0.539
Cl: 0.250 0.775 0.982
Cl: 0.250 0.204 0.039
Cl: 0.750 0.225 0.018
Cl: 0.750 0.704 0.461


Na2NdCuCl6: relaxed, PBE.

Output
VASP energy = -3.782 eV per atom
formation enthalpy at 0 K = -182.4 kJ per mole of atoms
E (MP2020) = -4.151 eV per atom
space-group type = Fm-3m

a b c (Å): 7.372 7.372 7.372
angles (deg): 60.00 60.00 60.00
Atoms (fractional coordinates):
Na: 0.750 0.750 0.750
Na: 0.250 0.250 0.250
Nd: 0.000 0.000 0.000
Cu: 0.500 0.500 0.500
Cl: 0.740 0.260 0.260
Cl: 0.260 0.260 0.740
Cl: 0.260 0.740 0.740
Cl: 0.260 0.740 0.260
Cl: 0.740 0.260 0.740
Cl: 0.740 0.740 0.260


Na2Cu4P2ClO9: relaxed, PBE.

Output
VASP energy = -5.713 eV per atom
formation enthalpy at 0 K = -175.6 kJ per mole of atoms
E (MP2020) = -6.056 eV per atom
space-group type = Cmcm

a b c (Å): 8.594 8.594 6.527
angles (deg): 90.00 90.00 105.00
Atoms (fractional coordinates):
Na: 0.305 0.695 0.000
Na: 0.305 0.695 0.500
Na: 0.695 0.305 0.000
Na: 0.695 0.305 0.500
Cu: 0.687 0.915 0.250
Cu: 0.085 0.313 0.750
Cu: 0.313 0.085 0.750
Cu: 0.915 0.687 0.250
Cu: 0.000 0.000 0.500
Cu: 0.000 0.000 0.000
Cu: 0.377 0.377 0.250
Cu: 0.623 0.623 0.750
P: 0.369 0.037 0.250
P: 0.963 0.631 0.750
P: 0.631 0.963 0.750
P: 0.037 0.369 0.250
Cl: 0.600 0.600 0.250
Cl: 0.400 0.400 0.750
O: 0.262 0.014 0.444
O: 0.986 0.738 0.556
O: 0.262 0.014 0.056
O: 0.986 0.738 0.944
O: 0.738 0.986 0.556
O: 0.014 0.262 0.444
O: 0.738 0.986 0.944
O: 0.014 0.262 0.056
O: 0.459 0.901 0.250
O: 0.099 0.541 0.750
O: 0.541 0.099 0.750
O: 0.901 0.459 0.250
O: 0.491 0.207 0.250
O: 0.793 0.509 0.750
O: 0.509 0.793 0.750
O: 0.207 0.491 0.250
O: 0.912 0.912 0.250
O: 0.088 0.088 0.750


Na2PrCuCl6: relaxed, PBE.

Output
VASP energy = -3.869 eV per atom
formation enthalpy at 0 K = -190.6 kJ per mole of atoms
E (MP2020) = -4.237 eV per atom
space-group type = Fm-3m

a b c (Å): 7.405 7.405 7.405
angles (deg): 60.00 60.00 60.00
Atoms (fractional coordinates):
Na: 0.750 0.750 0.750
Na: 0.250 0.250 0.250
Pr: 0.000 0.000 0.000
Cu: 0.500 0.500 0.500
Cl: 0.739 0.261 0.261
Cl: 0.261 0.261 0.739
Cl: 0.261 0.739 0.739
Cl: 0.261 0.739 0.261
Cl: 0.739 0.261 0.739
Cl: 0.739 0.739 0.261


Na2ScCuCl6: relaxed, PBE.

Output
VASP energy = -3.931 eV per atom
formation enthalpy at 0 K = -181.7 kJ per mole of atoms
E (MP2020) = -4.299 eV per atom
space-group type = Fm-3m

a b c (Å): 7.049 7.049 7.049
angles (deg): 60.00 60.00 60.00
Atoms (fractional coordinates):
Na: 0.750 0.750 0.750
Na: 0.250 0.250 0.250
Sc: 0.000 0.000 0.000
Cu: 0.500 0.500 0.500
Cl: 0.750 0.250 0.250
Cl: 0.250 0.250 0.750
Cl: 0.250 0.750 0.750
Cl: 0.250 0.750 0.250
Cl: 0.750 0.250 0.750
Cl: 0.750 0.750 0.250


Na2SmCuCl6: relaxed, PBE.

Output
VASP energy = -3.790 eV per atom
formation enthalpy at 0 K = -183.6 kJ per mole of atoms
E (MP2020) = -4.158 eV per atom
space-group type = Fm-3m

a b c (Å): 7.332 7.332 7.332
angles (deg): 60.00 60.00 60.00
Atoms (fractional coordinates):
Na: 0.750 0.750 0.750
Na: 0.250 0.250 0.250
Sm: 0.000 0.000 0.000
Cu: 0.500 0.500 0.500
Cl: 0.742 0.258 0.258
Cl: 0.258 0.258 0.742
Cl: 0.258 0.742 0.742
Cl: 0.258 0.742 0.258
Cl: 0.742 0.258 0.742
Cl: 0.742 0.742 0.258